# 1
First-principles (meta-GGA r2SCAN) data for crystalline YZrF7 at its relaxed geometry, as listed in the Materials Project.

Geometry as extended XYZ:
```
18
Lattice="-3.786 0.775 -4.190 1.794 5.729 -0.562 4.955 -3.945 -5.206" Properties=species:S:1:pos:R:3 pbc="T T T"
Y 1.930 1.586 -6.866
Y 1.423 0.893 -2.659
Zr -0.106 4.312 -4.596
Zr 3.388 -1.818 -5.009
F -0.198 1.435 -6.483
F 2.075 1.346 -4.676
F 3.846 2.610 -6.334
F -2.254 0.229 -5.140
F 1.864 3.192 -8.474
F -0.429 -0.321 -3.174
F 0.970 0.269 -8.518
F 0.161 2.665 -3.466
F 3.546 1.025 -8.427
F -0.190 1.453 -1.095
F 1.252 3.625 -5.917
F 2.063 -1.138 -3.653
F 2.665 -0.526 -6.392
F 2.181 2.699 -1.481
```

Spin magnetization (μB/cell): 0.0
E (eV per atom): -11.419
E_form (eV/atom): -4.20
Space-group type: P2_1
Calculated density (g cm⁻³): 3.78

# 2
First-principles (meta-GGA r2SCAN) data for crystalline ZrZnF6 at its relaxed geometry, as listed in the Materials Project.

Geometry as extended XYZ:
```
8
Lattice="2.130 -1.772 4.979 5.545 0.668 1.126 1.678 3.804 3.896" Properties=species:S:1:pos:R:3 pbc="T T T"
Zr 0.000 0.000 0.000
Zn 4.677 1.350 5.000
F 6.177 0.122 5.553
F 3.176 2.578 4.448
F 4.242 1.691 6.939
F 5.111 1.009 3.062
F 5.951 2.912 5.011
F 3.402 -0.212 4.990
```

Spin magnetization (μB/cell): 0.0
E (eV per atom): -9.759
E_form (eV/atom): -3.46
Space-group type: Fm-3m
Calculated density (g cm⁻³): 3.44

# 3
First-principles (meta-GGA r2SCAN) data for crystalline Fe at its relaxed geometry, as listed in the Materials Project.

Geometry as extended XYZ:
```
1
Lattice="2.239 0.000 1.292 0.746 2.111 1.292 0.000 0.000 2.585" Properties=species:S:1:pos:R:3 pbc="T T T"
Fe 0.000 0.000 0.000
```

Spin magnetization (μB/cell): 2.8
E (eV per atom): -14.304
E_form (eV/atom): 0.11
Space-group type: Fm-3m
Calculated density (g cm⁻³): 7.59
Excess energy over the best structure of this formula in the dataset (meV/atom): 110

# 4
First-principles (meta-GGA r2SCAN) data for crystalline Fe at its relaxed geometry, as listed in the Materials Project.

Geometry as extended XYZ:
```
2
Lattice="2.434 0.000 0.000 -1.217 2.108 0.000 0.000 0.000 3.842" Properties=species:S:1:pos:R:3 pbc="T T T"
Fe 0.000 1.405 0.960
Fe 1.217 0.703 2.881
```

Spin magnetization (μB/cell): 0.0
E (eV per atom): -13.753
E_form (eV/atom): 0.66
Space-group type: P6_3/mmc
Calculated density (g cm⁻³): 9.41
Excess energy over the best structure of this formula in the dataset (meV/atom): 660

# 5
First-principles (meta-GGA r2SCAN) data for crystalline Fe at its relaxed geometry, as listed in the Materials Project.

Geometry as extended XYZ:
```
4
Lattice="-1.319 0.894 -1.815 -2.682 -3.312 0.307 -2.615 2.406 3.103" Properties=species:S:1:pos:R:3 pbc="T T T"
Fe -4.460 -1.797 1.143
Fe -3.822 0.507 1.835
Fe -6.427 -0.147 1.787
Fe -3.173 -0.249 -0.624
```

Spin magnetization (μB/cell): 11.2
E (eV per atom): -14.293
E_form (eV/atom): 0.12
Calculated density (g cm⁻³): 7.62
Excess energy over the best structure of this formula in the dataset (meV/atom): 120

# 6
First-principles (meta-GGA r2SCAN) data for crystalline Fe at its relaxed geometry, as listed in the Materials Project.

Geometry as extended XYZ:
```
2
Lattice="2.336 0.000 -0.826 -1.168 2.023 -0.826 1.170 2.027 3.310" Properties=species:S:1:pos:R:3 pbc="T T T"
Fe 1.169 2.025 0.829
Fe 0.000 0.000 0.000
```

Spin magnetization (μB/cell): 5.3
E (eV per atom): -14.413
E_form (eV/atom): 0.00
Calculated density (g cm⁻³): 7.90
Excess energy over the best structure of this formula in the dataset (meV/atom): 0

# 7
First-principles (meta-GGA r2SCAN) data for crystalline Ga3Fe at its relaxed geometry, as listed in the Materials Project.

Geometry as extended XYZ:
```
16
Lattice="-5.235 -1.383 2.987 -0.832 -4.873 -3.715 3.347 -3.727 4.139" Properties=species:S:1:pos:R:3 pbc="T T T"
Ga 0.206 -6.516 1.755
Ga 1.522 -3.717 2.935
Ga -2.926 -3.467 1.657
Ga -1.163 -5.431 3.838
Ga -3.450 -5.564 -2.221
Ga -4.242 -6.266 0.476
Ga 1.257 -4.300 0.212
Ga -0.061 -1.955 0.978
Ga -1.558 -4.552 -0.427
Ga -2.660 -8.028 2.434
Ga -1.776 -7.428 -0.152
Ga -2.304 -7.547 5.269
Fe -2.871 -3.794 4.006
Fe 0.151 -6.189 -0.594
Fe -2.082 -2.147 -0.250
Fe -0.639 -7.836 3.661
```

Spin magnetization (μB/cell): 0.0
E (eV per atom): -12.293
E_form (eV/atom): -0.11
Space-group type: P4_2/mnm
Calculated density (g cm⁻³): 7.08

# 8
First-principles (meta-GGA r2SCAN) data for crystalline Ga2FeO4 at its relaxed geometry, as listed in the Materials Project.

Geometry as extended XYZ:
```
28
Lattice="-2.410 1.100 5.133 1.217 -8.019 2.289 5.380 1.448 2.214" Properties=species:S:1:pos:R:3 pbc="T T T"
Ga 5.391 1.371 2.237
Ga 2.105 -2.813 4.841
Ga -0.912 -1.378 3.117
Ga 3.591 -5.213 2.802
Ga -0.609 -1.545 6.545
Ga 3.895 -5.380 6.231
Ga 2.082 -0.821 7.653
Ga 1.205 -6.105 5.123
Fe 2.240 -0.003 2.677
Fe 0.158 -4.737 2.714
Fe 4.333 -2.739 7.495
Fe 1.035 0.547 5.243
O 3.990 -0.703 6.995
O 3.114 -5.986 4.466
O -0.112 -2.734 2.061
O 1.981 -5.469 6.880
O 5.808 -5.292 5.582
O 1.305 -1.456 5.896
O -0.704 -6.223 5.781
O 2.582 -2.039 3.177
O -0.335 -3.435 7.079
O 2.951 0.749 4.474
O 4.790 -3.804 3.063
O 0.287 0.031 3.378
O 0.906 -4.222 4.580
O 1.782 1.062 7.109
O 3.621 -3.490 5.697
O 1.528 -0.755 0.879
```

Spin magnetization (μB/cell): 0.0
E (eV per atom): -10.596
E_form (eV/atom): -1.85
Calculated density (g cm⁻³): 5.90

# 9
First-principles (meta-GGA r2SCAN) data for crystalline ScGa6Fe6 at its relaxed geometry, as listed in the Materials Project.

Geometry as extended XYZ:
```
13
Lattice="-3.215 -3.789 -0.028 -0.612 -2.698 -5.892 2.880 -5.714 1.192" Properties=species:S:1:pos:R:3 pbc="T T T"
Sc -0.336 -9.502 1.164
Ga 1.734 -4.724 -1.133
Ga -1.342 -5.365 -1.623
Ga 0.395 -6.835 -3.105
Ga -0.319 -9.481 -3.880
Ga -0.629 -2.719 -0.848
Ga -2.681 -7.477 -3.595
Fe -1.371 -5.325 -4.183
Fe -0.779 -7.449 -5.310
Fe 0.828 -5.555 -5.296
Fe -1.914 -3.243 -2.960
Fe -3.521 -5.138 -2.974
Fe 0.424 -6.875 -0.545
```

Spin magnetization (μB/cell): 13.0
E (eV per atom): -13.085
E_form (eV/atom): -0.27
Space-group type: Immm
Calculated density (g cm⁻³): 7.37

# 10
First-principles (meta-GGA r2SCAN) data for crystalline ScGa5Fe at its relaxed geometry, as listed in the Materials Project.

Geometry as extended XYZ:
```
7
Lattice="-1.717 0.410 -3.711 3.697 -0.382 -1.753 -0.834 -6.530 -0.336" Properties=species:S:1:pos:R:3 pbc="T T T"
Sc 0.000 0.000 0.000
Ga 1.593 -2.190 -0.979
Ga 1.269 -4.723 -1.110
Ga -1.114 -1.793 -1.958
Ga -1.438 -4.326 -2.089
Ga 0.990 0.014 -2.732
Fe -0.417 -3.265 -0.168
```

Spin magnetization (μB/cell): 0.0
E (eV per atom): -12.188
E_form (eV/atom): -0.33
Space-group type: P4/mmm
Calculated density (g cm⁻³): 6.70

# 11
First-principles (meta-GGA r2SCAN) data for crystalline SmGa6Fe6 at its relaxed geometry, as listed in the Materials Project.

Geometry as extended XYZ:
```
13
Lattice="0.000 0.000 5.021 -4.323 4.301 2.511 -4.323 -4.301 -2.511" Properties=species:S:1:pos:R:3 pbc="T T T"
Sm 0.000 0.000 0.000
Ga -4.323 -1.414 2.511
Ga -4.323 1.414 2.511
Ga -3.001 0.000 0.000
Ga -5.645 0.000 0.000
Ga -6.996 0.000 2.511
Ga -1.651 0.000 2.511
Fe -2.162 -2.150 1.255
Fe -2.162 -2.150 -1.255
Fe -2.162 2.150 3.766
Fe -2.162 2.150 1.255
Fe -4.323 2.208 5.021
Fe -4.323 -2.208 0.000
```

Spin magnetization (μB/cell): 13.2
E (eV per atom): -14.483
E_form (eV/atom): -0.26
Space-group type: Immm
Calculated density (g cm⁻³): 8.04

# 12
First-principles (meta-GGA r2SCAN) data for crystalline Tb4Ga12Fe at its relaxed geometry, as listed in the Materials Project.

Geometry as extended XYZ:
```
17
Lattice="-4.274 4.274 4.274 4.274 -4.274 4.274 4.274 4.274 -4.274" Properties=species:S:1:pos:R:3 pbc="T T T"
Tb 2.137 2.137 -2.137
Tb 2.137 -2.137 2.137
Tb -2.137 2.137 2.137
Tb 2.137 2.137 2.137
Ga 0.000 4.274 2.137
Ga 0.000 2.137 4.274
Ga 2.137 4.274 0.000
Ga 4.274 2.137 0.000
Ga 4.274 0.000 2.137
Ga 2.137 0.000 4.274
Ga 0.000 0.000 6.073
Ga 0.000 2.474 0.000
Ga 2.474 0.000 0.000
Ga 0.000 0.000 2.474
Ga 0.000 6.073 0.000
Ga 6.073 0.000 0.000
Fe 0.000 0.000 0.000
```

Spin magnetization (μB/cell): 2.2
E (eV per atom): -16.846
E_form (eV/atom): -0.57
Space-group type: Im-3m
Calculated density (g cm⁻³): 8.13